DFT (PBE) results for an optimized crystal structure of Na2MgCu4O6.

Lattice parameters (Å, degrees): 3.851 9.666 4.280 90.00 99.22 90.00
Space group Pm (No. 6)
Symmetry-distinct sites (fractional):
Na 0.000 0.000 0.000 (multiplicity 1)
Na 0.161 0.500 0.706 (multiplicity 1)
Mg 0.560 0.500 0.322 (multiplicity 1)
Cu 0.468 0.162 0.539 (multiplicity 2)
Cu 0.834 0.311 0.071 (multiplicity 2)
O 0.047 0.500 0.172 (multiplicity 1)
O 0.224 0.000 0.519 (multiplicity 1)
O 0.501 0.171 0.044 (multiplicity 2)
O 0.703 0.335 0.584 (multiplicity 2)

Calculated values
- calculated volume (Å³ per cell) = 157.3
- VASP energy (eV per atom) = -4.728
- MP2020-corrected energy (eV per atom) = -5.0455
- formation enthalpy at 0 K (eV per formula unit) = -15.3